(1)
The following is a DFT calculation (PBE+U) of Li3VSi4H2O12 after structural relaxation.

Density = 2.474 g cm⁻³
Magnetic moment = 4.00 μB/cell

a b c (Å): 7.5427 8.2502 9.1157
angles (deg): 116.08 94.85 89.25
Fractional coordinates of all 44 atoms:
O 0.1664 0.1087 0.6825
O 0.7766 0.7314 0.5096
O 0.7678 0.3965 0.8719
Li 0.3196 0.8728 0.6096
Li 0.1664 0.7359 0.8952
Li 0.6598 0.6382 0.8687
H 0.8062 0.4529 0.4904
H 0.8839 0.3956 0.6253
V 0.5000 0.0000 0.0000
O 0.2611 0.9405 0.8574
O 0.0936 0.2668 0.0022
O 0.7993 0.3577 0.5266
O 0.8336 0.8913 0.3175
Si 0.7728 0.6981 0.3180
Si 0.1107 0.0773 0.8437
O 0.6033 0.8175 0.7797
O 0.2322 0.6035 0.1281
O 0.5650 0.6483 0.2419
V 0.0000 0.5000 0.0000
O 0.7389 0.0595 0.1426
O 0.9064 0.7332 0.9978
O 0.2007 0.6423 0.4734
H 0.1938 0.5471 0.5096
Li 0.3402 0.3618 0.1313
Li 0.8336 0.2641 0.1048
O 0.9002 0.5340 0.2190
O 0.3967 0.1825 0.2203
O 0.5478 0.2226 0.9738
O 0.3682 0.9406 0.3397
O 0.4350 0.3517 0.7581
Si 0.4000 0.7414 0.1792
Si 0.6000 0.2586 0.8208
Si 0.7306 0.8910 0.6885
Si 0.2272 0.3019 0.6820
O 0.0998 0.4660 0.7810
Si 0.8893 0.9227 0.1563
H 0.1161 0.6044 0.3747
O 0.6318 0.0594 0.6603
O 0.4522 0.7774 0.0262
O 0.0809 0.0304 0.2022
O 0.9191 0.9696 0.7978
O 0.2234 0.2686 0.4904
Li 0.6804 0.1272 0.3904
Si 0.2694 0.1090 0.3115

(2)
The following is a DFT calculation (PBE+U) of Li3VSi4H2O12 after structural relaxation.

Density = 2.463 g cm⁻³
Magnetic moment = 4.00 μB/cell

a b c (Å): 7.5376 8.1073 9.2130
angles (deg): 64.99 87.60 89.09
Fractional coordinates of all 44 atoms:
V 0.0000 0.5000 0.0000
O 0.2674 0.9274 0.1360
H 0.7816 0.5084 0.4847
O 0.7632 0.4162 0.1206
O 0.8898 0.5280 0.7887
Li 0.9111 0.2668 0.8503
H 0.2184 0.4916 0.5153
O 0.2256 0.2748 0.5053
O 0.1809 0.1111 0.3133
Si 0.1213 0.0624 0.1656
O 0.3850 0.1833 0.7795
O 0.4814 0.7777 0.9601
Si 0.3953 0.7328 0.8215
Si 0.2380 0.3055 0.3154
O 0.2339 0.6184 0.5013
V 0.5000 0.0000 0.0000
Li 0.3837 0.7810 0.3321
Si 0.7620 0.6945 0.6846
H 0.8263 0.3710 0.4071
O 0.2368 0.5838 0.8794
Si 0.8787 0.9376 0.8344
O 0.9190 0.7524 0.9903
O 0.4480 0.3501 0.2601
O 0.3259 0.9263 0.6759
O 0.1102 0.4720 0.2113
Si 0.2499 0.1110 0.6867
Si 0.7501 0.8890 0.3133
Li 0.0889 0.7332 0.1497
O 0.5520 0.6499 0.7399
O 0.0810 0.2476 0.0097
O 0.9483 0.9231 0.2260
H 0.1737 0.6290 0.5929
Li 0.6712 0.6500 0.1091
Li 0.3288 0.3500 0.8909
O 0.0517 0.0769 0.7740
O 0.8191 0.8889 0.6867
Si 0.6047 0.2672 0.1785
O 0.7326 0.0726 0.8640
O 0.5186 0.2223 0.0399
O 0.7744 0.7252 0.4947
Li 0.6163 0.2190 0.6679
O 0.7661 0.3816 0.4987
O 0.6741 0.0737 0.3241
O 0.6150 0.8167 0.2205

Q: Which of them is the most stable? A: (2).

(1)
The following is a DFT calculation (PBE+U) of LiVSi4H2O12 after structural relaxation.

Density = 2.447 g cm⁻³
Magnetic moment = 0.00 μB/cell

a b c (Å): 7.3554 8.1510 9.3028
angles (deg): 62.43 88.93 88.60
Fractional coordinates of all 40 atoms:
O 0.2131 0.0912 0.3205
O 0.0878 0.4396 0.2130
Si 0.2472 0.1099 0.6846
O 0.7590 0.4395 0.0849
O 0.9631 0.9034 0.2531
O 0.0489 0.2572 0.0386
O 0.5501 0.6336 0.7733
Si 0.8754 0.9459 0.8232
Li 0.6280 0.6058 0.1817
O 0.7869 0.9088 0.6795
Si 0.3894 0.7250 0.8424
O 0.6171 0.8439 0.2025
O 0.2767 0.9635 0.1045
O 0.7439 0.7268 0.5041
O 0.3095 0.9128 0.6908
O 0.2410 0.5605 0.9151
O 0.6905 0.0872 0.3092
O 0.3829 0.1561 0.7975
V 0.0000 0.5000 0.0000
O 0.9122 0.5604 0.7870
O 0.2296 0.5425 0.6216
O 0.4704 0.7813 0.9765
O 0.2561 0.2732 0.4959
H 0.2185 0.5117 0.5329
H 0.8943 0.4410 0.3438
O 0.4499 0.3664 0.2267
H 0.7815 0.4883 0.4671
Li 0.3720 0.3942 0.8183
O 0.7704 0.4575 0.3784
O 0.5296 0.2187 0.0235
Si 0.2500 0.2928 0.3126
Si 0.6106 0.2750 0.1576
O 0.7233 0.0365 0.8955
Si 0.7500 0.7072 0.6874
Si 0.7528 0.8901 0.3154
Si 0.1246 0.0541 0.1768
O 0.0369 0.0966 0.7469
V 0.5000 0.0000 0.0000
O 0.9511 0.7428 0.9614
H 0.1057 0.5590 0.6562

(2)
The following is a DFT calculation (PBE+U) of LiVSi4H2O12 after structural relaxation.

Density = 2.451 g cm⁻³
Magnetic moment = 0.00 μB/cell

a b c (Å): 7.4003 8.2773 9.0504
angles (deg): 116.87 92.32 91.44
Fractional coordinates of all 40 atoms:
O 0.2174 0.8300 0.4530
O 0.7826 0.1700 0.5470
O 0.5342 0.7594 0.9687
Si 0.2363 0.3869 0.6838
O 0.4658 0.2406 0.0313
Si 0.3958 0.4311 0.1759
Si 0.7399 0.7978 0.6879
Li 0.6543 0.2298 0.8546
Si 0.7637 0.6131 0.3162
H 0.1980 0.9602 0.5082
O 0.3886 0.0371 0.2032
Li 0.3457 0.7702 0.1454
O 0.6503 0.6045 0.6660
O 0.4423 0.4093 0.7697
V 0.5000 0.0000 0.0000
O 0.8192 0.4265 0.3249
H 0.8020 0.0398 0.4918
O 0.7745 0.4930 0.8892
H 0.8909 0.2244 0.6204
Si 0.1212 0.7615 0.8317
O 0.7232 0.0767 0.1131
Si 0.6042 0.5689 0.8241
O 0.1808 0.5735 0.6751
O 0.9102 0.6588 0.2085
O 0.0635 0.1650 0.2121
O 0.2255 0.5070 0.1108
O 0.3497 0.3955 0.3340
O 0.9365 0.8350 0.7879
O 0.0898 0.3412 0.7915
O 0.9041 0.2952 0.0167
O 0.0959 0.7048 0.9833
V 0.0000 0.5000 0.0000
O 0.5577 0.5907 0.2303
O 0.7675 0.7823 0.5033
O 0.2768 0.9233 0.8869
H 0.1091 0.7756 0.3796
Si 0.8788 0.2385 0.1683
O 0.6115 0.9629 0.7968
Si 0.2601 0.2022 0.3121
O 0.2325 0.2177 0.4967

Q: Which of them is the most stable? A: (1).

(1)
The following is a DFT calculation (PBE+U) of MgMnVP2H2O10 after structural relaxation.

Density = 3.219 g cm⁻³
Magnetic moment = 6.00 μB/cell

a b c (Å): 5.4460 7.4372 5.2316
angles (deg): 111.27 95.20 108.08
Fractional coordinates of all 17 atoms:
Mg 0.5061 0.0026 0.9950
V 0.0059 0.5022 0.9951
O 0.3028 0.1029 0.7737
H 0.0442 0.6942 0.6683
O 0.7088 0.9014 0.2154
O 0.1188 0.7603 0.8759
O 0.1569 0.3647 0.6675
Mn 0.0058 0.0021 0.9949
P 0.6503 0.7481 0.3568
O 0.6911 0.8737 0.6830
O 0.3205 0.1309 0.3064
O 0.8547 0.6396 0.3220
O 0.8932 0.2442 0.1145
P 0.3615 0.2563 0.6326
O 0.6519 0.4059 0.7383
H 0.9677 0.3097 0.3223
O 0.3598 0.5983 0.2511

(2)
The following is a DFT calculation (PBE+U) of MgMnVP2H2O10 after structural relaxation.

Density = 3.205 g cm⁻³
Magnetic moment = 2.00 μB/cell

a b c (Å): 5.4940 7.2814 5.2823
angles (deg): 110.42 98.07 106.16
Fractional coordinates of all 17 atoms:
O 0.8138 0.6050 0.2893
O 0.7492 0.9050 0.6513
V 0.0117 0.4882 0.0005
O 0.3583 0.6429 0.3192
P 0.3907 0.2422 0.6645
O 0.3523 0.1209 0.8513
O 0.6881 0.3459 0.6875
Mg 0.4143 0.7469 0.7521
H 0.8381 0.2636 0.2615
O 0.9530 0.2628 0.1352
P 0.6544 0.7521 0.3332
O 0.0702 0.7270 0.8475
O 0.2727 0.4222 0.7452
O 0.6690 0.8583 0.1283
H 0.9473 0.6556 0.6558
O 0.2570 0.0786 0.3588
Mn 0.0349 0.0124 0.0062

Q: Which of them is the most stable? A: (1).

(1)
The following is a DFT calculation (PBE+U) of MgV6H6O18 after structural relaxation.

Density = 2.717 g cm⁻³
Magnetic moment = 2.00 μB/cell

a b c (Å): 5.3105 9.4379 8.0919
angles (deg): 89.34 109.87 90.66
Fractional coordinates of all 31 atoms:
V 0.8930 0.2468 0.0370
V 0.5241 0.9253 0.8386
O 0.3335 0.5678 0.9897
O 0.1512 0.3902 0.1911
H 0.8044 0.6623 0.4070
H 0.2215 0.1480 0.6105
V 0.4622 0.4207 0.1573
O 0.3573 0.0130 0.6559
O 0.8122 0.6110 0.8121
O 0.6159 0.3972 0.9689
O 0.6271 0.0894 0.9922
H 0.2167 0.3312 0.5994
V 0.1036 0.7402 0.9547
O 0.5985 0.5274 0.3344
O 0.3841 0.8950 0.0331
O 0.0862 0.7064 0.1573
H 0.0289 0.2440 0.6907
O 0.6290 0.2481 0.2247
O 0.9612 0.7275 0.4247
H 0.9427 0.7593 0.3036
O 0.1061 0.2401 0.5892
O 0.3548 0.7434 0.7843
O 0.8429 0.8844 0.8408
O 0.1696 0.1055 0.1727
O 0.3280 0.4858 0.6113
Mg 0.2230 0.5684 0.3688
V 0.5042 0.5589 0.8145
V 0.4796 0.0605 0.1746
O 0.9621 0.2531 0.8528
H 0.7916 0.9085 0.4190
O 0.6474 0.9796 0.3801

(2)
The following is a DFT calculation (PBE+U) of MgV6H6O18 after structural relaxation.

Density = 2.802 g cm⁻³
Magnetic moment = 2.00 μB/cell

a b c (Å): 5.1913 9.1901 8.2835
angles (deg): 88.32 110.61 90.89
Fractional coordinates of all 31 atoms:
O 0.6928 0.9558 0.3442
O 0.9945 0.7214 0.4435
H 0.9133 0.8172 0.3899
V 0.4994 0.5471 0.8111
O 0.3677 0.9077 0.0092
O 0.6705 0.1016 0.9985
H 0.8477 0.2450 0.4236
O 0.7947 0.6180 0.7948
O 0.0710 0.7088 0.1415
O 0.3316 0.5753 0.9731
H 0.1099 0.1626 0.5931
H 0.0927 0.3416 0.5790
O 0.1497 0.3872 0.2275
O 0.5991 0.5355 0.3220
O 0.1235 0.2756 0.9433
O 0.1891 0.0957 0.2104
O 0.9770 0.2498 0.5562
O 0.3151 0.7575 0.7566
V 0.5165 0.9538 0.8329
O 0.8229 0.8965 0.8194
H 0.8290 0.6541 0.4162
V 0.4717 0.4222 0.1474
H 0.1812 0.7552 0.6335
V 0.9592 0.2479 0.0808
O 0.6504 0.3937 0.9725
O 0.6734 0.2410 0.2462
Mg 0.2315 0.5763 0.3620
V 0.0856 0.7468 0.9458
O 0.3320 0.0469 0.6574
V 0.5029 0.0556 0.1794
O 0.3043 0.4845 0.6108

(3)
The following is a DFT calculation (PBE+U) of MgV6H6O18 after structural relaxation.

Density = 2.707 g cm⁻³
Magnetic moment = 2.00 μB/cell

a b c (Å): 5.6145 8.9698 7.8226
angles (deg): 84.43 102.45 92.07
Fractional coordinates of all 31 atoms:
O 0.0843 0.7187 0.1813
H 0.8492 0.6219 0.4123
Mg 0.3221 0.6934 0.4285
O 0.5398 0.2231 0.2434
O 0.9893 0.6600 0.4965
O 0.4389 0.4977 0.6279
H 0.2833 0.3613 0.5801
O 0.6354 0.0990 0.9919
O 0.4804 0.9119 0.3554
O 0.8739 0.6203 0.8206
V 0.4336 0.4268 0.1537
O 0.8813 0.9031 0.8493
O 0.1305 0.3789 0.1445
V 0.1076 0.7456 0.9725
H 0.9540 0.6376 0.6154
H 0.2959 0.1763 0.5905
O 0.4829 0.0595 0.6370
H 0.0659 0.2629 0.6506
O 0.1280 0.0939 0.1075
O 0.1761 0.2662 0.5594
O 0.3781 0.8915 0.9920
O 0.4533 0.7675 0.7186
O 0.3494 0.5903 0.9694
O 0.9342 0.2768 0.7929
V 0.8946 0.2545 0.9967
V 0.5645 0.5756 0.8150
O 0.5308 0.5393 0.3165
O 0.6422 0.4060 0.9919
V 0.5773 0.9446 0.8224
H 0.5073 0.9690 0.4631
V 0.4283 0.0519 0.1561

Q: Which of them is the most stable? A: (3).